w:
RbSi | PBE-GGA | relaxed

a b c (Å): 13.1872 13.1872 13.1872
angles (deg): 90.00 90.00 90.00
Positions (direct):
Si 0.4347 0.4347 0.5653
Si 0.9292 0.8145 0.5602
Si 0.3145 0.4292 0.0602
Si 0.1855 0.5602 0.0708
Si 0.5602 0.9292 0.8145
Si 0.9398 0.6855 0.4292
Si 0.0602 0.6855 0.5708
Si 0.0653 0.9347 0.9347
Si 0.0708 0.1855 0.5602
Si 0.6855 0.5708 0.0602
Si 0.3145 0.5708 0.9398
Si 0.9347 0.9347 0.0653
Si 0.0708 0.8145 0.4398
Si 0.8145 0.4398 0.0708
Si 0.9398 0.3145 0.5708
Si 0.5708 0.0602 0.6855
Si 0.8145 0.5602 0.9292
Si 0.5653 0.5653 0.5653
Si 0.4292 0.9398 0.6855
Si 0.4347 0.5653 0.4347
Si 0.9292 0.1855 0.4398
Si 0.5602 0.0708 0.1855
Si 0.4292 0.0602 0.3145
Si 0.4398 0.0708 0.8145
Si 0.9347 0.0653 0.9347
Si 0.6855 0.4292 0.9398
Si 0.0653 0.0653 0.0653
Si 0.0602 0.3145 0.4292
Si 0.5653 0.4347 0.4347
Si 0.4398 0.9292 0.1855
Si 0.5708 0.9398 0.3145
Si 0.1855 0.4398 0.9292
Rb 0.6627 0.8602 0.0661
Rb 0.3602 0.8373 0.4339
Rb 0.3373 0.8602 0.9339
Rb 0.6661 0.6661 0.3339
Rb 0.8602 0.9339 0.3373
Rb 0.3602 0.1627 0.5661
Rb 0.5661 0.3602 0.1627
Rb 0.9339 0.3373 0.8602
Rb 0.8373 0.5661 0.6398
Rb 0.4339 0.6398 0.1627
Rb 0.8373 0.4339 0.3602
Rb 0.6627 0.1398 0.9339
Rb 0.9339 0.6627 0.1398
Rb 0.3339 0.3339 0.3339
Rb 0.3339 0.6661 0.6661
Rb 0.6398 0.8373 0.5661
Rb 0.1398 0.9339 0.6627
Rb 0.5661 0.6398 0.8373
Rb 0.1398 0.0661 0.3373
Rb 0.3373 0.1398 0.0661
Rb 0.8339 0.8339 0.8339
Rb 0.4339 0.3602 0.8373
Rb 0.0661 0.3373 0.1398
Rb 0.6398 0.1627 0.4339
Rb 0.1661 0.1661 0.8339
Rb 0.0661 0.6627 0.8602
Rb 0.8602 0.0661 0.6627
Rb 0.6661 0.3339 0.6661
Rb 0.1627 0.5661 0.3602
Rb 0.8339 0.1661 0.1661
Rb 0.1627 0.4339 0.6398
Rb 0.1661 0.8339 0.1661

Results
SG ... P-43n
Maximum piezoelectric response ... 0.09 C/m²

---

x:
RbSi | PBE-GGA | relaxed

a b c (Å): 11.8824 11.8824 11.8824
angles (deg): 124.74 124.74 81.97
Positions (direct):
Si 0.1425 0.1050 0.1523
Si 0.8550 0.2027 0.4625
Si 0.7973 0.2598 0.6523
Si 0.6425 0.4902 0.0375
Si 0.5098 0.5473 0.1523
Si 0.7402 0.3925 0.5375
Si 0.1075 0.7598 0.4625
Si 0.8950 0.0473 0.0375
Si 0.2402 0.7027 0.3477
Si 0.6075 0.1450 0.3477
Si 0.9527 0.9902 0.8477
Si 0.0098 0.8575 0.9625
Si 0.3550 0.8925 0.6523
Si 0.4527 0.6050 0.9625
Si 0.3950 0.3575 0.8477
Si 0.2973 0.6450 0.5375
Rb 0.4817 0.3750 0.6067
Rb 0.8806 0.6194 0.5000
Rb 0.3806 0.8806 0.2611
Rb 0.9817 0.3750 0.1067
Rb 0.6194 0.1194 0.7389
Rb 0.8694 0.6306 0.0000
Rb 0.1250 0.5183 0.8933
Rb 0.1250 0.0183 0.3933
Rb 0.6250 0.2317 0.1067
Rb 0.2683 0.8750 0.8933
Rb 0.7683 0.8750 0.3933
Rb 0.1194 0.3806 0.5000
Rb 0.6250 0.7317 0.6067
Rb 0.6306 0.8694 0.0000
Rb 0.1306 0.1306 0.7611
Rb 0.3694 0.3694 0.2389

Results
SG ... I4_1/acd

---

Stability, descending: w, x

---

w:
Rb3Th | PBE-GGA | relaxed

a b c (Å): 7.0850 7.0850 7.0850
angles (deg): 60.00 60.00 60.00
Positions (direct):
Rb 0.2500 0.2500 0.2500
Rb 0.7500 0.7500 0.7500
Rb 0.5000 0.5000 0.5000
Th 0.0000 0.0000 0.0000

Results
SG ... Fm-3m

---

x:
Rb3Th | PBE-GGA | relaxed

a b c (Å): 6.2660 6.2660 6.2660
angles (deg): 90.00 90.00 90.00
Positions (direct):
Th 0.0000 0.0000 0.0000
Rb 0.5000 0.5000 0.0000
Rb 0.0000 0.5000 0.5000
Rb 0.5000 0.0000 0.5000

Results
SG ... Pm-3m

---

Stability, descending: w, x

---

w:
Rb3Tm | PBE-GGA | relaxed

a b c (Å): 6.4150 6.4150 6.4150
angles (deg): 90.00 90.00 90.00
Positions (direct):
Rb 0.0000 0.5000 0.5000
Rb 0.5000 0.5000 0.0000
Rb 0.5000 0.0000 0.5000
Tm 0.0000 0.0000 0.0000

Results
SG ... Pm-3m

---

x:
Rb3Tm | PBE-GGA | relaxed

a b c (Å): 7.2007 7.2007 7.2007
angles (deg): 60.00 60.00 60.00
Positions (direct):
Tm 0.0000 0.0000 0.0000
Rb 0.7500 0.7500 0.7500
Rb 0.5000 0.5000 0.5000
Rb 0.2500 0.2500 0.2500

Results
SG ... Fm-3m

---

Stability, descending: x, w

---

w:
Rb3Zr | PBE-GGA | relaxed

a b c (Å): 7.5211 7.5211 7.5211
angles (deg): 130.69 130.69 72.30
Positions (direct):
Zr 0.0000 0.0000 0.0000
Rb 0.2500 0.7500 0.5000
Rb 0.7500 0.2500 0.5000
Rb 0.5000 0.5000 0.0000

Results
SG ... I4/mmm

---

x:
Rb3Zr | PBE-GGA | relaxed

a b c (Å): 6.2261 6.2261 6.2261
angles (deg): 90.00 90.00 90.00
Positions (direct):
Zr 0.0000 0.0000 0.0000
Rb 0.5000 0.5000 0.0000
Rb 0.0000 0.5000 0.5000
Rb 0.5000 0.0000 0.5000

Results
SG ... Pm-3m

---

Stability, descending: w, x

---

w:
Sc3Re2Si3 | PBE-GGA | relaxed

a b c (Å): 10.0838 10.0838 13.7418
angles (deg): 52.76 52.76 30.35
Positions (direct):
Sc 0.5721 0.7512 0.1461
Sc 0.2488 0.4279 0.3539
Sc 0.0456 0.8125 0.6420
Sc 0.4279 0.2488 0.8539
Sc 0.7955 0.9385 0.4775
Sc 0.9385 0.7955 0.9775
Sc 0.2045 0.0615 0.5225
Sc 0.0615 0.2045 0.0225
Sc 0.8125 0.0456 0.1420
Sc 0.1875 0.9544 0.8580
Sc 0.9544 0.1875 0.3580
Sc 0.7512 0.5721 0.6461
Si 0.3031 0.1458 0.6163
Si 0.4845 0.7330 0.3844
Si 0.7330 0.4845 0.8844
Si 0.6969 0.8542 0.3837
Si 0.5155 0.2670 0.6156
Si 0.1409 0.8591 0.2500
Si 0.8591 0.1409 0.7500
Si 0.1458 0.3031 0.1163
Si 0.2670 0.5155 0.1156
Si 0.3485 0.6515 0.7500
Si 0.6515 0.3485 0.2500
Si 0.8542 0.6969 0.8837
Re 0.0884 0.4190 0.7450
Re 0.6386 0.4250 0.5771
Re 0.4190 0.0884 0.2450
Re 0.3614 0.5750 0.4229
Re 0.4250 0.6386 0.0771
Re 0.5750 0.3614 0.9229
Re 0.5810 0.9116 0.7550
Re 0.9116 0.5810 0.2550

Results
SG ... C2/c

---

x:
Sc3Re2Si3 | PBE-GGA | relaxed

a b c (Å): 10.1100 10.1100 13.7979
angles (deg): 52.99 52.99 30.39
Positions (direct):
Si 0.7685 0.7911 0.6295
Si 0.7343 0.2657 0.5000
Si 0.9707 0.0293 0.0000
Si 0.6090 0.1518 0.8786
Si 0.6401 0.0152 0.3191
Si 0.8482 0.3910 0.1214
Si 0.2089 0.2315 0.3705
Si 0.9848 0.3599 0.6809
Si 0.4668 0.5332 0.0000
Si 0.3669 0.4232 0.3672
Si 0.5768 0.6331 0.6328
Si 0.2371 0.7629 0.5000
Sc 0.6509 0.6789 0.3873
Sc 0.8814 0.8380 0.7407
Sc 0.8835 0.4369 0.8893
Sc 0.1252 0.6900 0.9196
Sc 0.1124 0.6437 0.2102
Sc 0.0385 0.0955 0.6132
Sc 0.3563 0.8876 0.7898
Sc 0.3211 0.3491 0.6127
Sc 0.3100 0.8748 0.0804
Sc 0.9045 0.9615 0.3868
Sc 0.1620 0.1186 0.2593
Sc 0.5631 0.1165 0.1107
Re 0.9503 0.5778 0.4662
Re 0.7250 0.3143 0.8361
Re 0.4222 0.0497 0.5338
Re 0.6857 0.2750 0.1639
Re 0.4447 0.4766 0.6817
Re 0.6702 0.8085 0.0452
Re 0.5234 0.5553 0.3183
Re 0.1915 0.3298 0.9548

Results
SG ... C2

---

Stability, descending: w, x

---

w:
TlRe | PBE-GGA | relaxed

a b c (Å): 3.1342 4.8072 12.3048
angles (deg): 90.00 90.00 90.00
Positions (direct):
Tl 0.0000 0.7500 0.8956
Tl 0.0000 0.2500 0.1044
Tl 0.5000 0.7500 0.6044
Tl 0.5000 0.2500 0.3956
Re 0.5000 0.7500 0.1778
Re 0.5000 0.2500 0.8222
Re 0.0000 0.2500 0.6778
Re 0.0000 0.7500 0.3222

---

x:
TlRe | PBE-GGA | relaxed

a b c (Å): 5.2710 5.2710 5.2710
angles (deg): 135.27 126.32 72.38
Positions (direct):
Re 0.0855 0.3355 0.7500
Re 0.9145 0.6645 0.2500
Tl 0.3612 0.1112 0.2500
Tl 0.6388 0.8888 0.7500

Results
SG ... Imma

---

Stability, descending: w, x

---

w:
ReW3 | PBE-GGA | relaxed

a b c (Å): 2.7449 2.7449 8.9797
angles (deg): 90.00 90.00 109.78
Positions (direct):
W 0.0000 0.0000 0.5000
W 0.5000 0.5000 0.2493
W 0.5000 0.5000 0.7507
Re 0.0000 0.0000 0.0000

Results
SG ... Cmmm

---

x:
ReW3 | PBE-GGA | relaxed

a b c (Å): 5.0548 5.0548 5.0548
angles (deg): 90.00 90.00 90.00
Positions (direct):
W 0.7500 0.0000 0.5000
W 0.5000 0.7500 0.0000
W 0.2500 0.0000 0.5000
W 0.5000 0.2500 0.0000
W 0.0000 0.5000 0.2500
W 0.0000 0.5000 0.7500
Re 0.0000 0.0000 0.0000
Re 0.5000 0.5000 0.5000

Results
SG ... Pm-3n

---

Stability, descending: x, w

---

w:
U2Si5Rh3 | PBE-GGA | relaxed

a b c (Å): 8.1204 8.1204 8.1204
angles (deg): 138.00 104.83 90.06
Positions (direct):
Si 0.7386 0.8941 0.8446
Si 0.5000 0.2500 0.7500
Si 0.2221 0.4721 0.2500
Si 0.9505 0.6059 0.3446
Si 0.5000 0.7500 0.2500
Si 0.7779 0.0279 0.2500
Si 0.2221 0.9721 0.7500
Si 0.7779 0.5279 0.7500
Si 0.2614 0.1059 0.1554
Si 0.0495 0.3941 0.6554
U 0.1360 0.8666 0.2694
U 0.8640 0.1334 0.7306
U 0.5972 0.3666 0.2306
U 0.4028 0.6334 0.7694
Rh 0.0000 0.7500 0.7500
Rh 0.5297 0.1399 0.3898
Rh 0.0000 0.2500 0.2500
Rh 0.4703 0.8601 0.6102
Rh 0.2499 0.3601 0.8898
Rh 0.7501 0.6399 0.1102

Results
SG ... Ibam

---

x:
U2Si5Rh3 | PBE-GGA | relaxed

a b c (Å): 8.1582 8.1582 5.7559
angles (deg): 69.78 69.78 91.82
Positions (direct):
Si 0.2211 0.7789 0.7500
Si 0.7889 0.2111 0.7500
Si 0.9433 0.7346 0.6641
Si 0.0567 0.2654 0.3359
Si 0.4890 0.5110 0.7500
Si 0.2111 0.7889 0.2500
Si 0.2654 0.0567 0.8359
Si 0.5110 0.4890 0.2500
Si 0.7346 0.9433 0.1641
Si 0.7789 0.2211 0.2500
U 0.4041 0.1346 0.2351
U 0.8654 0.5959 0.2649
U 0.5959 0.8654 0.7649
U 0.1346 0.4041 0.7351
Rh 0.7446 0.4612 0.8764
Rh 0.9998 0.0002 0.2500
Rh 0.5388 0.2554 0.6236
Rh 0.0002 0.9998 0.7500
Rh 0.2554 0.5388 0.1236
Rh 0.4612 0.7446 0.3764

Results
SG ... C2/c

---

Stability, descending: w, x